1.
Lu2NiRu | the Materials Project | meta-GGA r2SCAN | relaxed; calculated total energy = -28.934 eV per atom; V = 17.743 Å³ per atom; E_form = -0.543 eV per atom; space group = Fm-3m, No. 225
1.0
-0.0001 3.2861 3.2862
3.2861 -0.0001 3.2861
3.2861 3.2861 -0.0001
Lu Ru Ni
2 1 1
direct
0.5000 0.5000 0.5000
0.0000 0.0000 0.0000
0.7500 0.7500 0.7500
0.2500 0.2500 0.2500



2.
Ti2C | the Materials Project | meta-GGA r2SCAN | relaxed; calculated total energy = -12.667 eV per atom; V = 13.367 Å³ per atom; E_form = -0.726 eV per atom; space group = Fd-3m, No. 227
1.0
5.2817 0.0000 3.0494
1.7606 4.9796 3.0494
0.0000 0.0000 6.0988
Ti C
8 4
direct
0.2439 0.7682 0.2439
0.7561 0.7561 0.7561
0.2439 0.2439 0.7682
0.7561 0.7561 0.2318
0.7561 0.2318 0.7561
0.2439 0.2439 0.2439
0.2318 0.7561 0.7561
0.7682 0.2439 0.2439
0.5000 0.0000 0.0000
0.0000 0.5000 0.0000
0.0000 0.0000 0.0000
0.0000 0.0000 0.5000



3.
EuRhO3 | the Materials Project | meta-GGA r2SCAN | relaxed; calculated total energy = -18.195 eV per atom; V = 11.928 Å³ per atom; E_form = -2.080 eV per atom; space group = Pnma, No. 62
1.0
5.3652 0.0000 0.0000
0.0000 5.7554 0.0000
0.0000 0.0000 7.7255
Eu O Rh
4 12 4
direct
0.0227 0.0731 0.7500
0.4773 0.5731 0.7500
0.9773 0.9269 0.2500
0.5227 0.4269 0.2500
0.8120 0.1967 0.4483
0.1880 0.8033 0.5517
0.1061 0.5346 0.2500
0.6880 0.6967 0.0517
0.8939 0.4654 0.7500
0.3939 0.0346 0.2500
0.8120 0.1967 0.0517
0.3120 0.3033 0.5517
0.1880 0.8033 0.9483
0.6880 0.6967 0.4483
0.6061 0.9654 0.7500
0.3120 0.3033 0.9483
0.5000 0.0000 0.0000
0.0000 0.5000 0.0000
0.5000 0.0000 0.5000
0.0000 0.5000 0.5000